A plane-wave DFT calculation with PBE+U was carried out for an optimized crystal structure of MnAs2O7.

```
40
Lattice="9.313 0.000 0.000 0.000 6.942 0.000 0.000 2.607 9.271" Properties=species:S:1:pos:R:3 pbc="T T T"
O 2.925 8.326 8.902
O 8.698 4.955 2.256
O 5.847 7.722 3.596
O 5.410 8.918 7.709
O 3.158 4.111 8.357
O 0.615 4.595 7.015
O 1.732 7.022 4.266
O 8.123 9.025 8.232
O 4.042 3.291 2.380
O 7.815 6.742 5.549
O 2.543 6.484 7.102
O 6.155 5.439 0.914
O 8.560 7.614 3.073
O 2.114 5.180 2.466
O 6.163 5.389 3.685
O 3.466 1.828 5.675
O 3.903 0.632 1.562
O 5.272 6.258 6.891
O 1.190 0.524 1.039
O 7.807 6.692 8.320
O 1.498 2.807 3.722
O 7.199 4.370 6.805
O 0.754 1.936 6.198
O 3.150 4.161 5.586
O 7.582 2.528 5.005
O 6.770 3.066 2.169
O 6.388 1.224 0.369
O 1.506 2.858 0.951
As 6.560 9.239 8.937
As 6.972 6.052 6.960
As 2.316 4.801 6.947
As 1.903 1.614 4.970
As 2.753 0.310 0.334
As 7.410 7.936 4.301
As 2.341 3.498 2.311
As 6.997 4.748 2.324
Mn 8.697 3.210 6.465
Mn 4.041 7.644 7.441
Mn 0.616 6.340 2.806
Mn 5.272 1.906 1.830
```

Space group ... P2_1/c
ΔE_f ... -1.52 eV per atom
MP2020-corrected energy ... -6.830 eV per atom



A plane-wave DFT calculation with PBE+U was carried out for an optimized crystal structure of Li4MnV3P8O28.

```
44
Lattice="-4.566 -5.149 1.993 0.476 -3.289 -7.603 9.227 -2.602 1.761" Properties=species:S:1:pos:R:3 pbc="T T T"
P 2.873 -4.732 0.666
P 3.997 -4.164 -5.010
P 8.622 -5.464 -4.141
P 6.805 -7.144 -2.571
P -1.739 -3.439 -0.211
P -3.460 -5.810 -0.258
P 1.158 -7.107 0.655
P 2.184 -5.864 -3.436
O 6.180 -7.584 -3.897
O -0.237 -7.837 -2.851
O 7.686 -5.816 -2.857
O 2.090 -7.859 -0.310
O -2.648 -4.587 0.468
O 5.328 -2.855 -0.170
O -0.830 -2.978 0.943
O 3.150 -6.910 -2.857
O 3.653 -5.369 -0.486
O 5.241 -5.038 -4.919
O 4.369 -9.132 -1.988
O 0.664 -3.718 -5.801
O 1.560 -6.350 -4.733
O 0.680 -1.576 -1.118
O 1.939 -3.626 0.136
O -1.480 -5.615 -3.766
O 1.973 -5.879 1.358
O 1.147 -5.348 -2.423
O 3.793 -4.290 1.810
O -0.957 -4.066 -1.367
O 5.755 -6.648 -1.568
O 3.058 -4.531 -3.739
O 3.221 -4.400 -6.326
O -2.517 -6.544 -1.227
O 6.543 -4.948 1.024
O 4.587 -7.770 0.785
O 7.848 -5.707 -5.440
O -0.036 -6.494 -0.064
V 6.095 -6.621 -5.751
V -0.715 -6.056 -1.896
V 3.888 -7.359 -1.017
Li 5.621 -4.818 -0.772
Li 4.237 -8.255 -3.889
Li -0.360 -6.960 -4.771
Li 1.002 -3.510 -1.652
Mn 1.481 -5.296 -6.636
```

Space group ... P1
ΔE_f ... -2.69 eV per atom
MP2020-corrected energy ... -7.826 eV per atom



A plane-wave DFT calculation with PBE+U was carried out for an optimized crystal structure of Li4Cr3Co2Sn3O16.

```
28
Lattice="6.102 0.013 -0.002 -3.040 5.260 0.008 -0.002 0.013 9.678" Properties=species:S:1:pos:R:3 pbc="T T T"
Sn -1.484 4.380 2.079
Sn 0.018 1.786 2.067
Sn 1.549 0.911 6.913
O 1.458 0.839 0.875
O -1.623 4.359 5.814
O 3.003 5.255 7.845
O 4.574 0.816 0.992
O 4.416 2.559 7.988
O -0.076 1.698 5.801
O 3.102 1.805 5.836
O 0.073 3.554 0.950
O 1.796 2.619 8.125
O 3.150 0.252 8.111
O 1.428 2.799 3.254
O 3.008 5.242 3.080
O 2.992 3.557 0.998
O 0.108 5.077 3.273
O -1.333 2.731 3.355
O 1.580 4.405 5.963
Cr 4.547 0.946 6.914
Cr 1.510 4.380 2.095
Cr 3.065 3.507 6.886
Co 3.074 1.796 9.560
Co 0.019 3.502 4.797
Li 2.935 5.223 4.857
Li 3.100 1.787 3.858
Li 2.905 5.198 9.609
Li 0.070 3.563 8.617
```

Space group ... P1
ΔE_f ... -1.97 eV per atom
MP2020-corrected energy ... -7.042 eV per atom



A plane-wave DFT calculation with PBE+U was carried out for an optimized crystal structure of Li4Fe2SiO7.

```
14
Lattice="-3.967 -3.003 0.284 3.464 -2.622 2.552 -1.029 3.266 3.806" Properties=species:S:1:pos:R:3 pbc="T T T"
Fe 2.038 -1.891 3.698
Fe -3.571 -0.468 2.944
Si -0.766 -1.179 3.321
O 0.347 -1.205 4.746
O -2.133 -0.549 4.332
O -1.880 -1.154 1.896
O 0.601 -1.809 2.310
O 0.000 0.000 0.000
O -0.290 0.601 2.888
O -1.243 -2.960 3.754
Li -2.673 -3.020 1.935
Li -1.549 1.383 4.344
Li 0.016 -3.742 2.298
Li 1.141 0.661 4.707
```

Space group ... P-1
ΔE_f ... -2.27 eV per atom
MP2020-corrected energy ... -6.891 eV per atom



A plane-wave DFT calculation with PBE+U was carried out for an optimized crystal structure of FeMo2H7O11.

```
42
Lattice="-0.175 -5.849 0.417 -5.098 -2.641 -5.389 10.725 0.701 -5.554" Properties=species:S:1:pos:R:3 pbc="T T T"
H 10.173 -1.235 -5.347
H -4.102 -5.318 -5.075
H 7.699 -4.156 -6.586
H 5.209 -5.697 -3.463
H 7.979 -5.656 -6.187
H -2.362 -3.638 -3.753
H -0.068 -3.121 -0.895
H 2.913 -6.212 -6.321
H 2.789 -4.890 -7.108
H -2.486 -2.314 -4.540
H 1.348 -2.047 -8.058
H 4.726 -4.511 -2.360
H 2.423 -1.579 -4.017
H 2.704 -3.080 -3.622
O 7.820 -2.515 -6.043
O 0.167 -3.927 -2.306
O -0.329 -7.039 -4.783
O 5.241 -6.707 -7.729
O 2.067 -4.765 -8.665
O 5.436 -3.727 -5.018
O 2.793 -1.931 -7.769
O 3.921 -3.212 -1.900
O 5.122 -3.764 -7.769
O 5.263 -5.370 -2.501
O 7.391 -5.095 -6.741
O -3.383 -8.036 -5.680
O 5.617 -0.653 -5.291
O 0.162 -1.153 -2.448
O 9.359 0.067 -4.885
O 2.114 -2.518 -4.171
O -0.035 -4.132 -5.159
O -2.059 -2.696 -3.718
O 2.370 -5.790 -3.058
O 3.216 -5.271 -6.286
O -2.659 -5.205 -4.792
O -0.013 -2.793 0.067
Mo 6.508 -2.257 -4.903
Mo 1.058 -5.531 -1.918
Mo -1.069 -5.566 -5.530
Mo 4.379 -2.292 -8.514
Fe 0.033 -2.622 -3.829
Fe 5.309 -5.199 -6.400
```

Space group ... P1
ΔE_f ... -1.54 eV per atom
MP2020-corrected energy ... -6.701 eV per atom



A plane-wave DFT calculation with PBE+U was carried out for an optimized crystal structure of Na2FeS2O12.

```
34
Lattice="-1.217 -5.120 1.488 1.716 -2.650 -7.717 10.950 -0.290 2.535" Properties=species:S:1:pos:R:3 pbc="T T T"
S 9.880 -5.313 -2.328
S 1.569 -2.747 -1.365
S 4.560 -5.407 -4.291
S 6.890 -2.654 0.597
O 1.319 -2.241 -2.724
O 4.034 -5.497 -0.104
O 5.240 -6.578 -4.867
O 9.266 -5.267 2.255
O 0.592 -4.786 1.691
O 1.239 -4.181 -1.273
O 0.673 -2.006 -0.389
O 6.893 -6.207 -0.755
O 10.857 -3.274 -5.385
O 2.975 -2.518 -0.939
O 7.416 -2.563 -3.589
O 10.130 -5.819 -0.969
O 10.776 -6.054 -3.304
O 3.080 -5.523 -4.387
O 4.911 -5.306 -2.818
O 10.210 -3.879 -2.420
O 6.209 -1.483 1.173
O 8.369 -2.537 0.694
O 5.014 -4.165 -4.943
O 4.556 -1.853 -2.939
O 6.435 -3.895 1.250
O 2.184 -2.793 -5.949
O 6.539 -2.754 -0.876
O 8.474 -5.542 -2.755
Fe 6.333 -1.470 -2.591
Fe 0.000 0.000 0.000
Na 10.012 -1.940 -0.966
Na 7.525 -7.211 -4.213
Na 1.438 -6.121 -2.728
Na 3.924 -0.849 0.519
```

Space group ... P2_1/c
ΔE_f ... -1.22 eV per atom
MP2020-corrected energy ... -5.849 eV per atom



A plane-wave DFT calculation with PBE+U was carried out for an optimized crystal structure of Li9Mn2Co5O16.

```
32
Lattice="0.965 -1.582 4.841 -1.952 -9.991 -1.899 5.826 0.220 0.925" Properties=species:S:1:pos:R:3 pbc="T T T"
Li 5.689 -1.903 3.027
Li 3.221 -6.832 1.917
Li 0.506 -4.904 -0.704
Li 2.013 -9.412 1.275
Li -0.833 -9.500 0.819
Li 2.817 -2.010 2.601
Li 0.359 -6.905 1.413
Li 4.517 -4.389 2.424
Li 1.554 -4.488 1.992
Co 4.644 -2.346 0.380
Co -0.733 -7.349 -1.255
Co 4.355 -6.329 4.554
Co 1.670 -2.437 -0.125
Co 3.846 -1.478 5.284
O 3.018 -5.358 3.437
O 1.879 -8.119 2.799
O 1.313 -0.870 1.098
O 1.137 -2.977 3.497
O 3.498 -8.363 0.262
O 0.409 -10.506 2.177
O 0.723 -8.463 -0.164
O 4.061 -2.875 4.056
O 3.199 -3.348 1.142
O 3.463 -10.451 2.726
O 1.988 -6.003 0.464
O -0.017 -5.513 2.936
O 4.788 -5.901 0.967
O 4.385 -0.881 1.656
O 0.293 -3.419 0.645
O 4.611 -7.921 3.227
Mn 6.768 -1.374 5.733
Mn 3.142 -8.919 3.983
```

Space group ... P1
ΔE_f ... -1.82 eV per atom
MP2020-corrected energy ... -6.513 eV per atom



A plane-wave DFT calculation with PBE+U was carried out for an optimized crystal structure of FeBi6P2O14F2.

```
50
Lattice="-3.945 -2.526 7.512 1.159 -4.821 7.334 5.038 10.229 12.584" Properties=species:S:1:pos:R:3 pbc="T T T"
P 1.598 2.515 11.621
P 0.655 0.366 15.808
P 3.276 5.435 22.096
P -1.023 -2.553 5.333
Bi -1.224 -4.266 13.970
Bi 0.953 1.003 20.274
Bi 3.477 7.147 13.459
Bi 0.030 -0.757 12.455
Bi 1.301 1.879 7.155
Bi 3.082 6.077 10.108
Bi 1.685 1.922 23.613
Bi 2.656 4.309 18.743
Bi 2.223 3.639 14.974
Bi -0.403 -1.428 8.686
Bi 0.568 0.960 3.816
Bi -0.829 -3.195 17.321
Fe 0.000 0.000 0.000
Fe 2.519 5.115 6.292
O -1.227 -0.624 10.607
O -0.853 -1.034 5.410
O -0.335 -4.265 9.286
O 4.089 4.803 14.414
O 4.876 4.060 19.365
O 3.843 2.161 14.217
O 3.106 3.915 22.019
O 1.313 -1.767 10.518
O 0.078 -3.291 6.080
O 0.940 4.648 16.911
O -0.372 -0.769 15.761
O 1.538 5.916 14.500
O 0.093 1.790 15.651
O 1.892 0.053 14.979
O 2.160 1.091 11.778
O 3.481 3.506 16.822
O 2.175 6.173 21.349
O -1.835 -1.921 13.015
O -1.590 0.720 13.211
O 0.528 3.297 19.315
O 2.588 7.146 18.143
O 3.054 2.128 19.224
O 2.625 3.650 11.668
O -2.623 -1.178 8.063
O 0.716 -3.035 12.929
O 1.725 -0.415 8.114
O -0.801 0.754 8.205
O 0.361 2.829 12.449
F 4.270 7.315 16.352
F 1.069 2.507 10.084
F 1.185 0.374 17.345
F -2.017 -4.433 11.077
```

Space group ... C2/c
ΔE_f ... -2.07 eV per atom
MP2020-corrected energy ... -6.700 eV per atom



no.,total magnetization (μB per cell),energy (eV per atom)
1,12.0,-6.182
2,10.0,-7.235
3,10.0,-6.318
4,10.0,-6.226
5,10.0,-5.929
6,16.0,-5.231
7,12.0,-5.810
8,8.0,-6.188